DFT (PBE) results for crystalline K3NaSe2O8 at its relaxed geometry.

extended XYZ file:
```
14
Lattice="2.9908 -5.1802 0.0000 2.9908 5.1802 0.0000 0.0000 0.0000 7.6685" Properties=species:S:1:pos:R:3 pbc="T T T"
K 0.0000 0.0000 3.8342
K 2.9908 -1.7267 1.3078
K 2.9908 1.7267 6.3606
Na 0.0000 0.0000 0.0000
Se 2.9908 -1.7267 5.5629
Se 2.9908 1.7267 2.1056
O 1.6298 -0.9409 6.1642
O 2.9908 -3.2983 6.1642
O 4.3518 -0.9409 6.1642
O 2.9908 3.2983 1.5043
O 4.3518 0.9409 1.5043
O 1.6298 0.9409 1.5043
O 2.9908 1.7267 3.7605
O 2.9908 -1.7267 3.9079
```

Values from the calculation:
Crystal system = trigonal
E above lowest polymorph = 0.0034 eV/atom
Spin magnetization = 0.00 μB per atom

=====

DFT (PBE) results for crystalline K4Na2Si6O15 at its relaxed geometry.

extended XYZ file:
```
54
Lattice="3.7030 10.0413 0.0000 -3.7030 10.0413 0.0000 0.0000 6.0015 11.3938" Properties=species:S:1:pos:R:3 pbc="T T T"
K -0.9308 13.3017 3.8098
K -0.9308 9.7816 1.8872
K 0.9308 12.7824 7.5841
K 0.9308 16.3025 9.5067
K 1.3001 16.0678 1.8803
K 1.3001 7.0155 3.8166
K -1.3001 10.0162 9.5135
K -1.3001 19.0686 7.5772
Na 3.0521 14.1186 4.6489
Na 3.0521 8.9647 1.0480
Na -3.0521 11.9655 6.7449
Na -3.0521 17.1194 10.3458
Si 0.7828 16.0747 5.6711
Si 0.7828 7.0086 0.0258
Si -0.7828 10.0094 5.7227
Si -0.7828 19.0754 11.3680
Si -1.8237 15.0646 6.9944
Si -1.8237 14.0203 10.0964
Si 1.8237 11.0195 4.3995
Si 1.8237 12.0638 1.2975
Si 0.3602 18.8909 4.3843
Si 0.3602 4.1924 1.3126
Si -0.3602 7.1932 7.0095
Si -0.3602 21.8917 10.0812
O 0.8357 15.2104 4.3391
O 0.8357 7.8729 1.3578
O -0.8357 10.8737 7.0547
O -0.8357 18.2112 10.0360
O 0.2666 17.6466 5.4945
O 0.2666 5.4367 0.2024
O -0.2666 8.4375 5.8993
O -0.2666 20.6474 11.1914
O 2.2816 16.1142 6.3961
O 2.2816 12.9707 10.6946
O -2.2816 9.9699 4.9977
O -2.2816 13.1134 0.6992
O -0.1911 15.4353 6.8726
O -0.1911 13.6495 10.2182
O 0.1911 10.6487 4.5213
O 0.1911 12.4346 1.1757
O -2.3433 14.0091 5.9316
O -2.3433 15.0758 11.1591
O 2.3433 12.0750 5.4622
O 2.3433 11.0083 0.2347
O -2.5583 16.5490 6.8469
O -2.5583 12.5358 10.2438
O 2.5583 9.5351 4.5469
O 2.5583 13.5482 1.1500
O -1.9947 14.5424 8.5454
O 1.9947 11.5417 2.8485
O 0.6609 18.4275 2.8978
O 0.6609 4.6558 2.7991
O -0.6609 7.6566 8.4960
O -0.6609 21.4283 8.5947
```

Values from the calculation:
Crystal system = monoclinic
E_tot = -6.750 eV/atom
Spin magnetization = 0.00 μB per atom

=====

DFT (PBE) results for crystalline K3NaSi6Sn2O20 at its relaxed geometry.

extended XYZ file:
```
64
Lattice="-9.8992 -6.1184 -0.1280 1.2188 -1.8425 -6.1899 6.7917 -11.0155 1.2801" Properties=species:S:1:pos:R:3 pbc="T T T"
K -1.7862 -10.8733 0.4533
K 2.4458 -6.5281 -5.4581
K 2.6551 -12.6982 -1.7561
K -7.1416 -7.8837 -3.3153
K 4.6835 -8.4807 -2.3909
K -2.4749 -7.9632 -2.5939
Na -2.4099 -17.1402 -4.8926
Na -3.5378 -4.3449 -0.1976
Si 3.0838 -5.4484 -2.1580
Si -0.4737 -10.7474 -2.8216
Si -8.9836 -7.0676 -0.4311
Si 2.6157 -14.6772 -4.6646
Si -4.7805 -8.9993 -5.8011
Si 2.6663 -10.1164 0.7604
Si 0.1383 -5.3645 -2.9971
Si -1.7310 -13.4289 -2.0368
Si -4.9802 -9.7788 -0.6542
Si 1.9762 -9.8869 -4.3980
Si -0.9328 -2.7840 -1.9120
Si 0.1183 -15.5283 -3.1119
Sn -3.7376 -11.1503 -3.4974
Sn 1.2519 -8.1951 -1.5481
Sn -0.9372 -3.2416 -5.2778
Sn -0.3559 -15.3666 0.2477
O -5.6744 -11.8419 -3.4054
O -0.2307 -9.6169 -1.6843
O 0.9958 -2.5086 -5.3712
O 1.1620 -13.9667 0.3858
O -0.6153 -12.1973 -2.0558
O 1.7381 -4.9177 -2.9430
O 1.5815 -11.3761 0.7857
O -6.3915 -9.4059 -5.8612
O -1.7860 -10.4617 -3.7371
O 2.7356 -6.7604 -1.2640
O -2.8731 -3.9639 -5.0250
O -1.8624 -16.7720 -0.0496
O -3.5028 -12.1199 -5.3203
O 0.4555 -7.5726 0.2675
O -1.1760 -2.2603 -3.4376
O 0.4495 -15.9977 -1.5852
O -4.2529 -14.9125 -5.3657
O -2.3781 -6.9949 0.2666
O 6.5142 -10.8666 -2.3002
O -3.7887 -5.2579 -2.6779
O -3.7510 -10.2094 -1.6181
O 2.1225 -8.6061 -3.4164
O -2.1890 -2.4141 -0.9467
O -0.0943 -16.8061 -4.0962
O 0.8111 -10.9235 -3.8333
O -6.4175 -10.3506 -1.2526
O 1.3023 -14.5241 -3.6892
O 0.4838 -2.1810 -1.3010
O -4.3067 -9.2967 -4.2755
O 2.6407 -9.5420 -0.7594
O -0.3647 -5.0882 -4.5126
O -1.7371 -14.0199 -0.5279
O -5.1932 -8.1269 -0.6919
O 3.3577 -10.8166 -4.3452
O -0.6911 -4.4236 -1.9083
O -1.2399 -14.5789 -3.1300
O -3.1751 -12.8780 -2.5126
O -0.0234 -6.9079 -2.5421
O 5.3529 -12.4757 -4.9682
O -5.7968 -5.6077 -0.0509
```

Values from the calculation:
Crystal system = monoclinic
E_tot = -6.624 eV/atom
Spin magnetization = 0.13 μB per atom

=====

DFT (PBE) results for crystalline KNa2TbSi8O24 at its relaxed geometry.

extended XYZ file:
```
72
Lattice="-13.5131 -3.6712 -0.9328 -4.3713 -11.6027 6.5741 -1.3864 3.5554 5.4448" Properties=species:S:1:pos:R:3 pbc="T T T"
K -2.1857 -5.8014 3.2870
K -6.7565 -1.8356 -0.4664
Na -6.7183 -9.5664 4.6468
Na -11.1660 -5.7076 0.9945
Na -13.2105 -2.7574 2.6072
Na -6.0602 -8.9612 8.4788
Tb -8.9422 -7.6370 2.8206
Tb 0.0000 0.0000 0.0000
Si -5.9934 -6.1694 4.4797
Si -8.4967 -3.9975 2.4241
Si -13.2773 -5.5492 6.6064
Si -10.7741 -7.7211 8.6620
Si -2.5557 -0.2873 2.8087
Si -16.7151 -11.4313 8.2774
Si -15.2691 -3.7493 4.9067
Si -8.6876 -9.4596 10.3112
Si -4.0016 -7.9693 6.1794
Si -10.5832 -2.2590 0.7748
Si -7.0113 -1.3180 7.1456
Si -12.2595 -10.4006 3.9404
Si -7.8172 -3.8265 5.4767
Si -11.4536 -7.8921 5.6094
Si -3.2755 -2.7340 1.1002
Si -15.9952 -8.9846 9.9858
O -6.6083 -4.9371 5.3516
O -8.3139 -3.4574 3.9510
O -12.6624 -6.7815 5.7345
O -10.9569 -8.2612 7.1350
O -3.2347 0.0378 6.5786
O -4.9937 1.5640 5.1342
O -16.0360 -11.7564 4.5074
O -14.2770 -13.2826 5.9519
O -8.9960 -4.2531 6.4615
O -10.2747 -7.4655 4.6246
O -5.8097 -0.2888 6.7698
O -13.4610 -11.4298 4.3162
O -14.4774 -2.3473 4.8608
O -7.5148 -8.3881 10.5782
O -4.7934 -9.3713 6.2252
O -11.7559 -3.3305 0.5078
O -4.7264 -6.7826 5.3343
O -9.2905 -2.8227 1.5865
O -14.5444 -4.9360 5.7517
O -9.9803 -8.8959 9.4996
O -7.0517 -2.4510 5.9979
O -12.2190 -9.2676 5.0882
O -5.2234 -5.5001 3.1566
O -6.9874 -3.9696 1.7081
O -14.0473 -6.2185 7.9294
O -12.2833 -7.7490 9.3780
O -1.3433 0.2267 1.8753
O -17.9275 -11.9453 9.2108
O -3.3217 -1.6486 2.3033
O -15.9490 -10.0700 8.7828
O -7.0522 -7.2954 4.0763
O -9.2151 -5.4188 2.3002
O -12.2186 -4.4232 7.0098
O -10.0557 -6.2998 8.7859
O -1.9945 -0.6345 4.3131
O -3.7232 0.8653 2.8936
O -17.2763 -11.0841 6.7729
O -15.5476 -12.5839 8.1925
O -7.0313 -6.8367 7.7837
O -11.3921 -3.0531 4.2027
O -12.2395 -4.8819 3.3024
O -7.8786 -8.6655 6.8834
O -3.4019 -4.0625 6.3370
O -7.7911 -0.2543 2.7327
O -15.8688 -7.6561 4.7491
O -11.4796 -11.4643 8.3534
O -7.9078 -7.3582 6.9617
O -11.3630 -4.3604 4.1244
```

Values from the calculation:
Crystal system = monoclinic
E_tot = -7.076 eV/atom
Spin magnetization = 0.06 μB per atom